[1]
A relaxed Sb7Se8F35 crystal, computed with PBE.

abc: 13.9144 11.4196 15.9197
angles: 47.75 90.00 90.00
Fractional positions:
Se: 0.5368 0.1826 0.4034
Se: 0.4170 0.0127 0.9208
Se: 0.4730 0.0319 0.5840
Se: 0.9828 0.8147 0.5657
Se: 0.0830 0.0127 0.4208
Se: 0.9632 0.1826 0.9034
Se: 0.5172 0.8147 0.0657
Se: 0.5830 0.9873 0.0792
Se: 0.5270 0.9681 0.4160
Se: 0.4632 0.8174 0.5966
Se: 0.4828 0.1853 0.9343
Se: 0.0172 0.1853 0.4343
Se: 0.9730 0.9681 0.9160
Se: 0.0368 0.8174 0.0966
Se: 0.9170 0.9873 0.5792
Se: 0.0270 0.0319 0.0840
Sb: 0.6429 0.4009 0.0539
Sb: 0.2382 0.4612 0.7572
Sb: 0.5000 0.5000 0.5000
Sb: 0.1429 0.5991 0.4461
Sb: 0.2053 0.0235 0.7228
Sb: 0.3571 0.5991 0.9461
Sb: 0.0000 0.5000 0.0000
Sb: 0.7618 0.5388 0.2428
Sb: 0.8571 0.4009 0.5539
Sb: 0.2618 0.4612 0.2572
Sb: 0.7947 0.9765 0.2772
Sb: 0.7382 0.5388 0.7428
Sb: 0.7053 0.9765 0.7772
Sb: 0.2947 0.0235 0.2228
F: 0.8454 0.3826 0.2722
F: 0.9270 0.0356 0.2531
F: 0.3624 0.4926 0.4949
F: 0.8394 0.9284 0.7920
F: 0.5000 0.5000 0.0000
F: 0.0815 0.7453 0.2963
F: 0.5815 0.2547 0.2037
F: 0.7601 0.2042 0.1538
F: 0.6706 0.7589 0.8968
F: 0.0093 0.6699 0.0005
F: 0.3019 0.6209 0.6157
F: 0.1606 0.0716 0.2080
F: 0.0972 0.7342 0.4731
F: 0.8624 0.5074 0.0051
F: 0.4952 0.3484 0.6619
F: 0.5730 0.0356 0.7531
F: 0.1974 0.0352 0.8370
F: 0.0730 0.9644 0.7469
F: 0.6606 0.9284 0.2920
F: 0.6521 0.5729 0.8202
F: 0.1521 0.4271 0.6798
F: 0.0048 0.3484 0.1619
F: 0.3294 0.2411 0.1032
F: 0.6376 0.5074 0.5051
F: 0.2175 0.9928 0.6193
F: 0.9028 0.2658 0.5269
F: 0.3394 0.0716 0.7080
F: 0.8479 0.5729 0.3202
F: 0.7399 0.2042 0.6538
F: 0.1376 0.4926 0.9949
F: 0.2825 0.9928 0.1193
F: 0.2601 0.7958 0.3462
F: 0.4185 0.7453 0.7963
F: 0.8019 0.3791 0.8843
F: 0.1546 0.6174 0.7278
F: 0.5972 0.2658 0.0269
F: 0.4270 0.9644 0.2469
F: 0.6974 0.9648 0.6630
F: 0.1981 0.6209 0.1157
F: 0.1758 0.2981 0.8977
F: 0.4028 0.7342 0.9731
F: 0.1737 0.3051 0.2883
F: 0.6701 0.5059 0.1679
F: 0.4907 0.6699 0.5005
F: 0.9185 0.2547 0.7037
F: 0.9952 0.6516 0.8381
F: 0.3026 0.0352 0.3370
F: 0.5048 0.6516 0.3381
F: 0.3479 0.4271 0.1798
F: 0.9907 0.3301 0.9995
F: 0.7825 0.0072 0.3807
F: 0.0000 0.5000 0.5000
F: 0.3263 0.3051 0.7883
F: 0.8242 0.7019 0.1023
F: 0.5093 0.3301 0.4995
F: 0.8263 0.6949 0.7117
F: 0.3454 0.6174 0.2278
F: 0.6737 0.6949 0.2117
F: 0.6981 0.3791 0.3843
F: 0.6758 0.7019 0.6023
F: 0.3242 0.2981 0.3977
F: 0.2399 0.7958 0.8462
F: 0.8294 0.7589 0.3968
F: 0.8299 0.5059 0.6679
F: 0.1706 0.2411 0.6032
F: 0.3299 0.4941 0.8321
F: 0.8026 0.9648 0.1630
F: 0.1701 0.4941 0.3321
F: 0.6546 0.3826 0.7722
F: 0.7175 0.0072 0.8807

## Properties
* symmetry: No. 14
* formation enthalpy at 0 K: -2.262 eV per atom
* size of the total moment: 0.0000 μB per atom
* raw total energy: -4.417 eV/atom

[2]
A relaxed SrH2 crystal, computed with PBE.

abc: 3.8612 6.3650 7.3017
angles: 90.00 90.00 90.00
Fractional positions:
Sr: 0.2500 0.2608 0.1107
Sr: 0.2500 0.7608 0.3893
Sr: 0.7500 0.2392 0.6107
Sr: 0.7500 0.7392 0.8893
H: 0.7500 0.9736 0.1782
H: 0.2500 0.5264 0.6782
H: 0.7500 0.8551 0.5724
H: 0.2500 0.0264 0.8218
H: 0.2500 0.1449 0.4276
H: 0.7500 0.3551 0.9276
H: 0.7500 0.4736 0.3218
H: 0.2500 0.6449 0.0724

## Properties
* symmetry: No. 62
* formation enthalpy at 0 K: -0.653 eV per atom
* raw total energy: -3.358 eV/atom

Question: Which formula does entry 2 have?
Answer: SrH2

Question: Number 2 is which compound?
Answer: SrH2